Entry from Materials Project: a geometry-optimized Ti2ReIr structure (GGA-PBE).

## Properties
Calculated formation energy (eV/atom): -0.76
Uncorrected energy (eV/cell): -160.444
Space group: Fm-3m, No. 225

```
Ti2ReIr
1.0
6.2235 0.0000 0.0000
0.0000 6.2235 0.0000
0.0000 0.0000 6.2235
Ti Re Ir
8 4 4
Cartesian
1.5559 1.5559 1.5559 Ti
1.5559 1.5559 4.6677 Ti
1.5559 4.6677 1.5559 Ti
1.5559 4.6677 4.6677 Ti
4.6677 1.5559 1.5559 Ti
4.6677 1.5559 4.6677 Ti
4.6677 4.6677 1.5559 Ti
4.6677 4.6677 4.6677 Ti
0.0000 0.0000 0.0000 Re
0.0000 3.1118 3.1118 Re
3.1118 0.0000 3.1118 Re
3.1118 3.1118 0.0000 Re
0.0000 0.0000 3.1118 Ir
0.0000 3.1118 0.0000 Ir
3.1118 0.0000 0.0000 Ir
3.1118 3.1118 3.1118 Ir
```